Computed, not measured: EuCuP after structural relaxation at the GGA-PBE level of DFT.

Unit cell a=4.0527 b=4.0527 c=8.2479 alpha=90.00 beta=90.00 gamma=120.00
With the nearest neighbours (Å) after each atom.
Fractional positions:
Cu 0.3333 0.6667 0.2500  3 P 2.34
P 0.3333 0.6667 0.7500  3 Cu 2.34
P 0.6667 0.3333 0.2500  3 Cu 2.34
Eu 0.0000 0.0000 0.0000  6 Cu 3.12, 6 P 3.12
Cu 0.6667 0.3333 0.7500  3 P 2.34
Eu 0.0000 0.0000 0.5000  6 Cu 3.12, 6 P 3.12

Energy relative to the elements ... -0.8917 eV per atom
Space-group type ... No. 194
Raw total energy ... -7.482 eV/atom